# 1
DFT (PBE) results for Na3SiBiBO7 after structural relaxation.

Summary:
energy	-6.20	eV per atom
ρ	4.1	g/cm3
symmetry	P2_1/m (11)

Cell lengths 5.3753, 7.0183, 9.3012 Å; angles 90.00, 90.51, 90.00 degrees
Element x y z (fractional)
Na: 0.2415 0.2500 0.4236
Na: 0.2502 0.5075 0.7461
Na: 0.2502 0.9925 0.7461
Na: 0.7498 0.0075 0.2539
Na: 0.7498 0.4925 0.2539
Na: 0.7585 0.7500 0.5764
Si: 0.2959 0.2500 0.0857
Si: 0.7041 0.7500 0.9143
Bi: 0.2212 0.7500 0.1538
Bi: 0.7788 0.2500 0.8462
B: 0.2648 0.7500 0.4438
B: 0.7352 0.2500 0.5562
O: 0.0331 0.7500 0.3708
O: 0.1826 0.2500 0.9205
O: 0.2030 0.0688 0.1851
O: 0.2030 0.4312 0.1851
O: 0.2905 0.7500 0.5873
O: 0.3971 0.7500 0.9262
O: 0.4755 0.7500 0.3514
O: 0.5245 0.2500 0.6486
O: 0.6029 0.2500 0.0738
O: 0.7095 0.2500 0.4127
O: 0.7970 0.5688 0.8149
O: 0.7970 0.9312 0.8149
O: 0.8174 0.7500 0.0795
O: 0.9669 0.2500 0.6292



# 2
DFT (PBE) results for NiBiB after structural relaxation.

Summary:
energy	-4.59	eV per atom
ρ	9.4	g/cm3
symmetry	F-43m (216)

Cell lengths 4.1150, 4.1150, 4.1150 Å; angles 60.00, 60.00, 60.00 degrees
Element x y z (fractional)
Ni: 0.0000 0.0000 0.0000
Bi: 0.2500 0.2500 0.2500
B: 0.7500 0.7500 0.7500



# 3
DFT (PBE) results for Bi3B5O12 after structural relaxation.

Summary:
energy	-7.25	eV per atom
ρ	5.9	g/cm3
symmetry	Pnma (62)

Cell lengths 6.6462, 7.8884, 18.6718 Å; angles 90.00, 90.00, 90.00 degrees
Element x y z (fractional)
Bi: 0.0155 0.0185 0.0959
Bi: 0.0155 0.4815 0.0959
Bi: 0.0398 0.7500 0.6855
Bi: 0.4602 0.2500 0.1855
Bi: 0.4845 0.5185 0.5959
Bi: 0.4845 0.9815 0.5959
Bi: 0.5155 0.0185 0.4041
Bi: 0.5155 0.4815 0.4041
Bi: 0.5398 0.7500 0.8145
Bi: 0.9602 0.2500 0.3145
Bi: 0.9845 0.5185 0.9041
Bi: 0.9845 0.9815 0.9041
B: 0.0686 0.2500 0.6100
B: 0.1238 0.0972 0.7298
B: 0.1238 0.4028 0.7298
B: 0.1666 0.2500 0.4807
B: 0.2026 0.7500 0.4875
B: 0.2974 0.2500 0.9875
B: 0.3334 0.7500 0.9807
B: 0.3762 0.5972 0.2298
B: 0.3762 0.9028 0.2298
B: 0.4314 0.7500 0.1100
B: 0.5686 0.2500 0.8900
B: 0.6238 0.0972 0.7702
B: 0.6238 0.4028 0.7702
B: 0.6666 0.2500 0.0193
B: 0.7026 0.7500 0.0125
B: 0.7974 0.2500 0.5125
B: 0.8334 0.7500 0.5193
B: 0.8762 0.5972 0.2702
B: 0.8762 0.9028 0.2702
B: 0.9314 0.7500 0.3900
O: 0.0300 0.7500 0.5400
O: 0.1138 0.2500 0.7673
O: 0.1176 0.0952 0.6556
O: 0.1176 0.4048 0.6556
O: 0.1329 0.7500 0.4139
O: 0.1378 0.5526 0.7657
O: 0.1378 0.9474 0.7657
O: 0.1586 0.2500 0.1484
O: 0.1748 0.0937 0.9996
O: 0.1748 0.4063 0.9996
O: 0.1897 0.7500 0.9255
O: 0.2242 0.2500 0.5521
O: 0.2758 0.7500 0.0521
O: 0.3103 0.2500 0.4255
O: 0.3252 0.5937 0.4996
O: 0.3252 0.9063 0.4996
O: 0.3414 0.7500 0.6484
O: 0.3622 0.0526 0.2657
O: 0.3622 0.4474 0.2657
O: 0.3671 0.2500 0.9139
O: 0.3824 0.5952 0.1556
O: 0.3824 0.9048 0.1556
O: 0.3862 0.7500 0.2673
O: 0.4700 0.2500 0.0400
O: 0.5300 0.7500 0.9600
O: 0.6138 0.2500 0.7327
O: 0.6176 0.0952 0.8444
O: 0.6176 0.4048 0.8444
O: 0.6329 0.7500 0.0861
O: 0.6378 0.5526 0.7343
O: 0.6378 0.9474 0.7343
O: 0.6586 0.2500 0.3516
O: 0.6748 0.0937 0.5004
O: 0.6748 0.4063 0.5004
O: 0.6897 0.7500 0.5745
O: 0.7242 0.2500 0.9479
O: 0.7758 0.7500 0.4479
O: 0.8103 0.2500 0.0745
O: 0.8252 0.5937 0.0004
O: 0.8252 0.9063 0.0004
O: 0.8414 0.7500 0.8516
O: 0.8622 0.0526 0.2343
O: 0.8622 0.4474 0.2343
O: 0.8671 0.2500 0.5861
O: 0.8824 0.5952 0.3444
O: 0.8824 0.9048 0.3444
O: 0.8862 0.7500 0.2327
O: 0.9700 0.2500 0.4600



# 4
DFT (PBE) results for Bi2B2O7 after structural relaxation.

Summary:
distance to the lowest polymorph of the same formula	275	meV per atom
ρ	6.1	g/cm3
symmetry	P-1 (2)

Cell lengths 6.5325, 6.5837, 8.0604 Å; angles 110.17, 110.87, 91.09 degrees
Element x y z (fractional)
Bi: 0.2074 0.3553 0.2125
Bi: 0.2562 0.2185 0.6353
Bi: 0.7438 0.7815 0.3647
Bi: 0.7926 0.6447 0.7875
B: 0.1790 0.6627 0.6278
B: 0.1918 0.8442 0.2336
B: 0.8082 0.1558 0.7664
B: 0.8210 0.3373 0.3722
O: 0.0286 0.2218 0.8846
O: 0.1143 0.6125 0.7580
O: 0.1142 0.8255 0.5586
O: 0.2797 0.0656 0.3507
O: 0.3153 0.5209 0.5627
O: 0.3395 0.6944 0.2408
O: 0.4981 0.9769 0.0682
O: 0.5019 0.0231 0.9318
O: 0.6605 0.3056 0.7592
O: 0.6847 0.4791 0.4373
O: 0.7203 0.9344 0.6493
O: 0.8858 0.1745 0.4414
O: 0.8857 0.3875 0.2420
O: 0.9714 0.7782 0.1154



# 5
DFT (PBE) results for Bi2B2O7 after structural relaxation.

Summary:
distance to the lowest polymorph of the same formula	0	meV per atom
ρ	6.7	g/cm3
symmetry	P-1 (2)

Cell lengths 5.7579, 6.4830, 8.3148 Å; angles 71.48, 74.11, 71.96 degrees
Element x y z (fractional)
Bi: 0.1824 0.2708 0.1380
Bi: 0.2864 0.0376 0.6797
Bi: 0.7136 0.9624 0.3203
Bi: 0.8176 0.7292 0.8620
B: 0.2376 0.7609 0.0971
B: 0.3900 0.4863 0.7176
B: 0.6100 0.5137 0.2824
B: 0.7624 0.2391 0.9029
O: 0.0658 0.6580 0.0685
O: 0.1066 0.9054 0.2216
O: 0.2263 0.7036 0.6962
O: 0.3153 0.1117 0.4035
O: 0.3467 0.3611 0.6277
O: 0.3662 0.9045 0.9374
O: 0.4494 0.5776 0.1696
O: 0.5506 0.4224 0.8304
O: 0.6338 0.0955 0.0626
O: 0.6533 0.6389 0.3723
O: 0.6847 0.8883 0.5965
O: 0.7737 0.2964 0.3038
O: 0.8934 0.0946 0.7784
O: 0.9342 0.3420 0.9315



# 6
DFT (PBE) results for Bi2B2O7 after structural relaxation.

Summary:
distance to the lowest polymorph of the same formula	1	meV per atom
ρ	6.0	g/cm3
symmetry	P-1 (2)

Cell lengths 6.3915, 6.6024, 7.4319 Å; angles 79.56, 81.17, 87.41 degrees
Element x y z (fractional)
Bi: 0.0847 0.2535 0.2629
Bi: 0.3233 0.2238 0.7248
Bi: 0.6767 0.7762 0.2752
Bi: 0.9153 0.7465 0.7371
B: 0.1768 0.7164 0.2731
B: 0.3960 0.7385 0.6673
B: 0.6040 0.2615 0.3327
B: 0.8232 0.2836 0.7269
O: 0.0144 0.2176 0.6300
O: 0.1940 0.5639 0.1730
O: 0.2158 0.1796 0.0018
O: 0.2732 0.5660 0.6789
O: 0.2842 0.8904 0.7469
O: 0.3424 0.8348 0.2943
O: 0.3954 0.2421 0.4182
O: 0.6046 0.7579 0.5818
O: 0.6576 0.1652 0.7057
O: 0.7158 0.1096 0.2531
O: 0.7268 0.4340 0.3211
O: 0.7842 0.8204 0.9982
O: 0.8060 0.4361 0.8270
O: 0.9856 0.7824 0.3700



# 7
DFT (PBE) results for Bi2B2O7 after structural relaxation.

Summary:
distance to the lowest polymorph of the same formula	282	meV per atom
ρ	5.4	g/cm3
symmetry	P-1 (2)

Cell lengths 5.2315, 8.3380, 8.6007 Å; angles 115.17, 93.01, 94.65 degrees
Element x y z (fractional)
Bi: 0.1361 0.2043 0.4481
Bi: 0.2777 0.5241 0.1689
Bi: 0.7223 0.4759 0.8311
Bi: 0.8639 0.7957 0.5519
B: 0.1526 0.2527 0.8456
B: 0.3582 0.6208 0.6479
B: 0.6418 0.3792 0.3521
B: 0.8474 0.7473 0.1544
O: 0.0294 0.6784 0.0383
O: 0.0679 0.9697 0.9399
O: 0.0847 0.1356 0.6760
O: 0.2394 0.4744 0.6672
O: 0.2445 0.7152 0.5687
O: 0.3825 0.3291 0.2917
O: 0.4052 0.3231 0.9200
O: 0.5948 0.6769 0.0800
O: 0.6175 0.6709 0.7083
O: 0.7555 0.2848 0.4313
O: 0.7606 0.5256 0.3328
O: 0.9153 0.8644 0.3240
O: 0.9321 0.0303 0.0601
O: 0.9706 0.3216 0.9617



# 8
DFT (PBE) results for Bi2B2O7 after structural relaxation.

Summary:
distance to the lowest polymorph of the same formula	311	meV per atom
ρ	6.9	g/cm3
symmetry	P-1 (2)

Cell lengths 5.4317, 6.5860, 8.0111 Å; angles 71.48, 86.78, 79.36 degrees
Element x y z (fractional)
Bi: 0.1861 0.0943 0.1413
Bi: 0.2747 0.3086 0.6048
Bi: 0.7253 0.6914 0.3952
Bi: 0.8139 0.9057 0.8587
B: 0.2018 0.8264 0.5791
B: 0.3516 0.6517 0.1637
B: 0.6484 0.3483 0.8363
B: 0.7982 0.1736 0.4209
O: 0.0529 0.6688 0.6070
O: 0.0933 0.7763 0.1338
O: 0.1928 0.9319 0.7046
O: 0.3369 0.8989 0.4247
O: 0.3814 0.5112 0.0350
O: 0.4200 0.4987 0.3356
O: 0.4756 0.1924 0.8799
O: 0.5244 0.8076 0.1201
O: 0.5800 0.5013 0.6644
O: 0.6186 0.4888 0.9650
O: 0.6631 0.1011 0.5753
O: 0.8072 0.0681 0.2954
O: 0.9067 0.2237 0.8662
O: 0.9471 0.3312 0.3930